Compound: Li7Mn4CoO12
Source: Materials Project
Functional: GGA+U
Structure: optimized geometry

abc: 5.044 5.832 7.939
angles: 79.33 80.37 73.23
Positions (direct):
O1 0.256 0.354 0.413
O2 0.242 0.811 0.426
O3 0.769 0.979 0.227
O4 0.729 0.519 0.270
O5 0.242 0.149 0.085
O6 0.246 0.014 0.778
O7 0.725 0.661 0.579
O8 0.767 0.854 0.910
O9 0.729 0.183 0.579
O10 0.288 0.479 0.735
O11 0.748 0.307 0.922
O12 0.252 0.691 0.079
Li1 0.499 0.333 0.167
Li2 0.997 0.167 0.346
Li3 0.511 0.665 0.823
Li4 0.486 0.003 0.510
Li5 0.011 0.496 0.988
Li6 0.999 0.334 0.666
Li7 0.990 0.838 0.665
Mn1 0.498 0.495 0.511
Mn2 0.997 0.661 0.344
Mn3 0.006 0.004 0.991
Mn4 0.498 0.835 0.163
Co1 0.516 0.168 0.823

* excess energy over the best structure of this formula in the dataset: 27 meV/atom
* magnetization: 14.00 Bohr magnetons per cell
* calculated volume: 9.09 Å³ per atom

Compound: Li7Mn4CoO12
Source: Materials Project
Functional: GGA+U
Structure: optimized geometry

abc: 2.877 8.679 9.755
angles: 64.23 90.00 90.00
Positions (direct):
O1 0.500 0.255 0.489
O2 0.000 0.229 0.999
O3 0.500 0.935 0.147
O4 0.500 0.737 0.519
O5 0.500 0.076 0.847
O6 0.000 0.064 0.358
O7 0.000 0.904 0.653
O8 0.500 0.403 0.180
O9 0.000 0.442 0.666
O10 0.500 0.595 0.819
O11 0.000 0.600 0.314
O12 0.000 0.765 0.010
Li1 0.500 0.834 0.833
Li2 0.500 0.169 0.156
Li3 0.000 0.184 0.668
Li4 0.500 0.335 0.831
Li5 0.500 0.499 0.509
Li6 0.000 0.477 0.997
Li7 0.000 0.835 0.335
Mn1 0.000 0.327 0.336
Mn2 0.000 0.651 0.670
Mn3 0.000 0.020 0.995
Mn4 0.500 0.673 0.163
Co1 0.500 0.990 0.505

* excess energy over the best structure of this formula in the dataset: 239 meV/atom
* magnetization: 4.00 Bohr magnetons per cell
* calculated volume: 9.14 Å³ per atom

Compound: Li5Mn2CoO8
Source: Materials Project
Functional: GGA+U
Structure: optimized geometry

abc: 2.876 5.116 9.820
angles: 101.19 90.00 90.00
Positions (direct):
O1 0.000 0.361 0.107
O2 0.500 0.655 0.381
O3 0.500 0.345 0.619
O4 0.000 0.886 0.611
O5 0.000 0.114 0.389
O6 0.500 0.097 0.887
O7 0.000 0.639 0.893
O8 0.500 0.903 0.113
Li1 0.500 0.271 0.271
Li2 0.000 0.756 0.263
Li3 0.000 0.244 0.737
Li4 0.000 0.500 0.500
Li5 0.500 0.729 0.729
Mn1 0.500 0.000 0.500
Mn2 0.000 0.000 0.000
Co1 0.500 0.500 0.000

* excess energy over the best structure of this formula in the dataset: 60 meV/atom
* magnetization: 8.00 Bohr magnetons per cell
* calculated volume: 8.86 Å³ per atom

Compound: Li7Mn2Co3O12
Source: Materials Project
Functional: GGA+U
Structure: optimized geometry

abc: 5.134 5.892 7.700
angles: 101.35 96.40 106.50
Positions (direct):
O1 0.732 0.108 0.759
O2 0.268 0.892 0.241
O3 0.264 0.222 0.598
O4 0.722 0.297 0.405
O5 0.717 0.435 0.078
O6 0.268 0.366 0.245
O7 0.719 0.962 0.078
O8 0.732 0.634 0.755
O9 0.283 0.565 0.922
O10 0.281 0.038 0.922
O11 0.278 0.703 0.595
O12 0.736 0.778 0.402
Li1 0.005 0.750 0.001
Li2 0.001 0.413 0.665
Li3 0.500 0.000 0.500
Li4 0.005 0.080 0.343
Li5 0.999 0.587 0.335
Li6 0.995 0.920 0.657
Li7 0.995 0.250 0.999
Co1 0.503 0.673 0.178
Co2 0.497 0.327 0.822
Co3 0.500 0.500 0.500
Mn1 0.504 0.836 0.831
Mn2 0.496 0.164 0.169

* excess energy over the best structure of this formula in the dataset: 46 meV/atom
* magnetization: 8.00 Bohr magnetons per cell
* calculated volume: 8.98 Å³ per atom

Compound: Li7Mn2Co3O12
Source: Materials Project
Functional: GGA+U
Structure: optimized geometry

abc: 2.895 5.182 14.493
angles: 90.18 91.19 90.45
Positions (direct):
Li1 0.499 0.175 0.836
Li2 0.011 0.667 0.827
Li3 0.009 0.337 0.166
Li4 0.505 0.159 0.329
Li5 0.512 0.496 0.993
Li6 0.987 0.002 0.504
Li7 0.485 0.833 0.677
O1 0.995 0.647 0.572
O2 0.490 0.206 0.580
O3 0.474 0.801 0.417
O4 0.992 0.983 0.248
O5 0.504 0.853 0.928
O6 0.033 0.697 0.086
O7 0.500 0.497 0.743
O8 0.006 0.306 0.926
O9 0.511 0.510 0.252
O10 0.522 0.146 0.077
O11 0.979 0.350 0.425
O12 0.995 0.016 0.742
Mn1 0.486 0.498 0.501
Mn2 0.012 0.013 0.996
Co1 0.989 0.664 0.331
Co2 0.511 0.831 0.165
Co3 0.994 0.311 0.680

* excess energy over the best structure of this formula in the dataset: 64 meV/atom
* magnetization: 10.00 Bohr magnetons per cell
* calculated volume: 9.06 Å³ per atom

Compound: Li2MnCoO4
Source: Materials Project
Functional: GGA+U
Structure: optimized geometry

abc: 2.984 5.170 9.914
angles: 79.21 85.36 88.02
Positions (direct):
Li1 0.252 0.627 0.376
Li2 0.247 0.124 0.873
Li3 0.753 0.876 0.127
Li4 0.748 0.373 0.624
Co1 0.751 0.631 0.876
Co2 0.249 0.369 0.124
O1 0.784 0.993 0.749
O2 0.244 0.527 0.754
O3 0.756 0.473 0.246
O4 0.254 0.732 0.993
O5 0.723 0.768 0.499
O6 0.277 0.232 0.501
O7 0.746 0.268 0.007
O8 0.216 0.007 0.251
Mn1 0.745 0.120 0.373
Mn2 0.255 0.880 0.627

* excess energy over the best structure of this formula in the dataset: 48 meV/atom
* magnetization: 8.00 Bohr magnetons per cell
* calculated volume: 9.36 Å³ per atom

Compound: Li2Mn3Co3O12
Source: Materials Project
Functional: GGA+U
Structure: optimized geometry

abc: 5.695 5.993 6.750
angles: 107.44 103.53 87.85
Positions (direct):
Co1 0.833 0.834 0.333
Co2 0.500 0.500 0.000
Co3 0.167 0.166 0.667
O1 0.584 0.611 0.303
O2 0.255 0.282 0.973
O3 0.412 0.937 0.636
O4 0.745 0.718 0.027
O5 0.922 0.940 0.641
O6 0.078 0.060 0.359
O7 0.751 0.280 0.985
O8 0.085 0.612 0.311
O9 0.588 0.063 0.364
O10 0.416 0.389 0.697
O11 0.915 0.388 0.689
O12 0.249 0.720 0.015
Mn1 0.331 0.841 0.329
Mn2 0.000 0.500 0.000
Mn3 0.669 0.159 0.671
Li1 0.803 0.306 0.310
Li2 0.197 0.694 0.690

* electronic total energy: -6.38 eV per atom
* magnetization: 10.00 Bohr magnetons per cell
* calculated volume: 10.68 Å³ per atom

Compound: Li3MnCoO5
Source: Materials Project
Functional: GGA+U
Structure: optimized geometry

abc: 3.034 5.049 12.071
angles: 96.92 92.52 92.27
Positions (direct):
Li1 0.500 0.500 0.000
Li2 0.698 0.901 0.400
Li3 0.000 0.000 0.000
Li4 0.302 0.099 0.600
Li5 0.097 0.702 0.199
Li6 0.903 0.298 0.801
O1 0.968 0.660 0.893
O2 0.776 0.267 0.502
O3 0.826 0.933 0.703
O4 0.224 0.733 0.498
O5 0.628 0.517 0.295
O6 0.372 0.483 0.705
O7 0.032 0.340 0.107
O8 0.440 0.118 0.890
O9 0.174 0.067 0.297
O10 0.560 0.882 0.110
Mn1 0.804 0.603 0.603
Mn2 0.196 0.397 0.397
Co1 0.590 0.193 0.190
Co2 0.410 0.807 0.810

* excess energy over the best structure of this formula in the dataset: 89 meV/atom
* magnetization: 14.00 Bohr magnetons per cell
* calculated volume: 9.16 Å³ per atom

Compound: Li4MnCo2O7
Source: Materials Project
Functional: GGA+U
Structure: optimized geometry

abc: 5.092 5.158 10.128
angles: 99.57 100.23 99.88
Positions (direct):
O1 0.806 0.063 0.831
O2 0.349 0.203 0.978
O3 0.207 0.939 0.172
O4 0.941 0.328 0.110
O5 0.639 0.758 0.529
O6 0.509 0.486 0.259
O7 0.669 0.808 0.040
O8 0.499 0.508 0.738
O9 0.917 0.372 0.598
O10 0.196 0.910 0.675
O11 0.055 0.618 0.397
O12 0.057 0.669 0.897
O13 0.367 0.232 0.453
O14 0.778 0.103 0.321
Li1 0.427 0.855 0.356
Li2 0.150 0.282 0.787
Li3 0.291 0.574 0.064
Li4 0.710 0.430 0.925
Li5 0.858 0.707 0.212
Li6 0.429 0.857 0.858
Li7 0.570 0.145 0.653
Li8 0.997 0.003 0.503
Mn1 0.996 0.992 0.998
Mn2 0.713 0.430 0.428
Co1 0.293 0.579 0.582
Co2 0.565 0.135 0.134
Co3 0.143 0.285 0.286
Co4 0.869 0.728 0.718

* excess energy over the best structure of this formula in the dataset: 72 meV/atom
* magnetization: 9.67 Bohr magnetons per cell
* calculated volume: 9.02 Å³ per atom

Compound: Li7Mn4CoO12
Source: Materials Project
Functional: GGA+U
Structure: optimized geometry

abc: 2.989 14.634 5.085
angles: 92.21 86.61 92.81
Positions (direct):
Mn1 0.997 0.668 0.666
Mn2 0.504 0.333 0.834
Mn3 0.003 0.333 0.334
Mn4 0.000 0.000 0.000
O1 0.520 0.591 0.841
O2 0.470 0.412 0.158
O3 0.973 0.412 0.657
O4 0.528 0.072 0.854
O5 0.008 0.920 0.691
O6 0.031 0.591 0.338
O7 0.026 0.258 0.006
O8 0.482 0.742 0.491
O9 0.470 0.928 0.146
O10 0.530 0.256 0.511
O11 0.967 0.740 0.000
O12 0.992 0.079 0.309
Li1 0.498 0.842 0.832
Li2 0.000 0.502 0.003
Li3 0.992 0.155 0.653
Li4 0.505 0.158 0.170
Li5 0.007 0.843 0.344
Li6 0.497 0.501 0.496
Li7 0.500 0.999 0.500
Co1 0.497 0.667 0.166

* excess energy over the best structure of this formula in the dataset: 75 meV/atom
* magnetization: 16.00 Bohr magnetons per cell
* calculated volume: 9.23 Å³ per atom

Compound: Li4MnCo2O7
Source: Materials Project
Functional: GGA+U
Structure: optimized geometry

abc: 9.842 9.842 9.759
angles: 67.39 67.39 16.81
Positions (direct):
O1 0.240 0.240 0.264
O2 0.529 0.529 0.104
O3 0.328 0.328 0.482
O4 0.954 0.954 0.403
O5 0.818 0.818 0.956
O6 0.182 0.182 0.017
O7 0.107 0.107 0.802
O8 0.049 0.049 0.603
O9 0.890 0.890 0.196
O10 0.392 0.392 0.668
O11 0.468 0.468 0.898
O12 0.610 0.610 0.333
O13 0.678 0.678 0.520
O14 0.766 0.766 0.742
Mn1 0.998 0.998 0.000
Mn2 0.149 0.149 0.416
Co1 0.423 0.423 0.294
Co2 0.276 0.276 0.878
Co3 0.860 0.860 0.578
Co4 0.575 0.575 0.707
Li1 0.220 0.220 0.641
Li2 0.642 0.642 0.929
Li3 0.081 0.081 0.200
Li4 0.346 0.346 0.085
Li5 0.715 0.715 0.144
Li6 0.500 0.500 0.496
Li7 0.783 0.783 0.350
Li8 0.922 0.922 0.794

* excess energy over the best structure of this formula in the dataset: 52 meV/atom
* magnetization: 8.00 Bohr magnetons per cell
* calculated volume: 8.99 Å³ per atom

Compound: Li4MnCo3O8
Source: Materials Project
Functional: GGA+U
Structure: optimized geometry

abc: 2.935 5.056 9.771
angles: 85.44 83.09 88.33
Positions (direct):
Li1 0.877 0.124 0.748
Li2 0.123 0.876 0.252
Li3 0.365 0.625 0.755
Li4 0.635 0.375 0.245
O1 0.964 0.823 0.607
O2 0.187 0.562 0.117
O3 0.036 0.177 0.393
O4 0.813 0.438 0.883
O5 0.591 0.697 0.386
O6 0.316 0.935 0.884
O7 0.409 0.303 0.614
O8 0.684 0.065 0.116
Mn1 0.000 0.500 0.500
Co1 0.500 0.000 0.500
Co2 0.750 0.751 0.001
Co3 0.250 0.249 0.999

* excess energy over the best structure of this formula in the dataset: 0 meV/atom
* magnetization: 4.00 Bohr magnetons per cell
* calculated volume: 8.96 Å³ per atom

> The highest calculated volume belongs to which entry?

Li2Mn3Co3O12